1.
Crystalline NaTiVS4 at its relaxed geometry, computed with r2SCAN.

Calculated values
- Energy of formation from the pure elements: -9.788 eV per formula unit
- Total magnetization: 0.29 μB per atom
- Calculated total energy: -10.36 eV per atom

Cell lengths 7.1682, 7.1682, 5.9531 Å; angles 82.41, 82.41, 27.84 degrees
Last column: nearest neighbours and their distance in Å.
Sites, in units of the cell vectors:
Na 0.2439 0.2439 0.9037  6 S 2.84-2.94
Ti 0.4934 0.4934 0.4897  6 S 2.38-2.49
V 0.9925 0.9925 0.0138  6 S 2.43-2.45
S 0.8939 0.8939 0.7019  2 Ti 2.45, 1 V 2.45
S 0.3887 0.3887 0.2049  1 Ti 2.38, 2 V 2.43
S 0.5916 0.5916 0.8095  2 V 2.43, 1 Ti 2.49
S 0.0970 0.0970 0.3094  2 Ti 2.41, 1 V 2.43


2.
Crystalline NaTi2Al5O12 at its relaxed geometry, computed with r2SCAN.

Calculated values
- Energy of formation from the pure elements: -65.175 eV per formula unit
- Total magnetization: 0.00 μB per atom
- Calculated total energy: -10.00 eV per atom

Cell lengths 2.9165, 9.0734, 15.3214 Å; angles 90.00, 90.00, 90.00 degrees
Last column: nearest neighbours and their distance in Å.
Sites, in units of the cell vectors:
Na 0.5000 0.5000 0.0000  6 O 2.47-2.50
Na 0.5000 0.0000 0.5000  6 O 2.47-2.50
Ti 0.5000 0.7338 0.3572  5 O 1.82-2.00
Ti 0.5000 0.2662 0.6428  5 O 1.82-2.00
Ti 0.5000 0.7662 0.8572  5 O 1.82-2.00
Ti 0.5000 0.2338 0.1428  5 O 1.82-2.00
Al 0.0000 0.0000 0.0000  6 O 1.87-1.92
Al 0.0000 0.4854 0.8018  6 O 1.87-1.96
Al 0.0000 0.0146 0.3018  6 O 1.87-1.96
Al 0.0000 0.5146 0.1982  6 O 1.87-1.96
Al 0.5000 0.1871 0.8532  4 O 1.74-1.79
Al 0.5000 0.8129 0.1468  4 O 1.74-1.79
Al 0.0000 0.9854 0.6982  6 O 1.87-1.96
Al 0.5000 0.6871 0.6468  4 O 1.74-1.79
Al 0.5000 0.3129 0.3532  4 O 1.74-1.79
Al 0.0000 0.5000 0.5000  6 O 1.87-1.92
O 0.5000 0.3923 0.5504  1 Ti 1.82, 2 Al 1.92
O 0.0000 0.1310 0.9056  3 Al 1.74-1.87
O 0.5000 0.1181 0.3524  3 Al 1.77-1.90
O 0.0000 0.3584 0.7053  1 Al 1.87, 2 Ti 1.93
O 0.5000 0.3819 0.8524  3 Al 1.77-1.90
O 0.5000 0.6181 0.1476  3 Al 1.77-1.90
O 0.5000 0.1077 0.0504  1 Ti 1.82, 2 Al 1.92
O 0.0000 0.8690 0.0944  3 Al 1.74-1.87
O 0.0000 0.6310 0.5944  3 Al 1.74-1.87
O 0.0000 0.8584 0.7947  1 Al 1.87, 2 Ti 1.93
O 0.0000 0.1416 0.2053  1 Al 1.87, 2 Ti 1.93
O 0.0000 0.1300 0.6047  1 Al 1.94, 2 Ti 2.00
O 0.5000 0.6043 0.7531  3 Al 1.79-1.96
O 0.0000 0.8700 0.3953  1 Al 1.94, 2 Ti 2.00
O 0.0000 0.6416 0.2947  1 Al 1.87, 2 Ti 1.93
O 0.0000 0.6300 0.8953  1 Al 1.94, 2 Ti 2.00
O 0.5000 0.8923 0.9496  1 Ti 1.82, 2 Al 1.92
O 0.5000 0.1043 0.7469  3 Al 1.79-1.96
O 0.5000 0.6077 0.4496  1 Ti 1.82, 2 Al 1.92
O 0.5000 0.8957 0.2531  3 Al 1.79-1.96
O 0.0000 0.3690 0.4056  3 Al 1.74-1.87
O 0.5000 0.3957 0.2469  3 Al 1.79-1.96
O 0.0000 0.3700 0.1047  1 Al 1.94, 2 Ti 2.00
O 0.5000 0.8819 0.6476  3 Al 1.77-1.90


- Among the records above, which one has the highest energy of formation from the pure elements?
  NaTiVS4